Entry 1:
DFT (PBE-GGA) results for a geometry-optimized CeMg14Cr structure.

a b c (Å): 6.480 6.480 10.270
angles (deg): 90.00 90.00 120.00
Element x y z (fractional)
Ce  0.167  0.333  0.125
Mg  0.180  0.840  0.125
Mg  0.165  0.832  0.625
Mg  0.660  0.320  0.125
Mg  0.668  0.335  0.625
Mg  0.660  0.840  0.125
Mg  0.668  0.832  0.625
Mg  0.332  0.168  0.385
Mg  0.332  0.168  0.865
Mg  0.332  0.663  0.385
Mg  0.332  0.663  0.865
Mg  0.837  0.168  0.385
Mg  0.837  0.168  0.865
Mg  0.833  0.667  0.365
Mg  0.833  0.667  0.885
Cr  0.167  0.333  0.625

Computed properties:
- DFT formation energy: 0.125 eV/atom
- Distance to the lowest polymorph of the same formula: 18 meV per atom

=====

Entry 2:
DFT (PBE-GGA) results for a geometry-optimized CeMg14Cr structure.

a b c (Å): 6.472 6.247 10.269
angles (deg): 90.00 90.00 118.86
Element x y z (fractional)
Ce  0.151  0.326  0.125
Mg  0.166  0.333  0.625
Mg  0.162  0.831  0.625
Mg  0.648  0.315  0.125
Mg  0.665  0.335  0.625
Mg  0.648  0.833  0.125
Mg  0.665  0.830  0.625
Mg  0.340  0.166  0.378
Mg  0.340  0.166  0.872
Mg  0.340  0.674  0.378
Mg  0.340  0.674  0.872
Mg  0.832  0.166  0.385
Mg  0.832  0.166  0.865
Mg  0.847  0.673  0.360
Mg  0.847  0.673  0.890
Cr  0.177  0.838  0.125

Computed properties:
- DFT formation energy: 0.107 eV/atom
- Distance to the lowest polymorph of the same formula: 0 meV per atom

=====

Entry 3:
DFT (PBE-GGA) results for a geometry-optimized Ce3Cr10N11 structure.

a b c (Å): 8.990 8.990 8.990
angles (deg): 60.00 60.00 60.00
Element x y z (fractional)
Ce  0.694  0.306  0.306
Ce  0.306  0.694  0.694
Ce  0.306  0.694  0.306
Ce  0.694  0.306  0.694
Ce  0.306  0.306  0.694
Ce  0.694  0.694  0.306
Cr  0.098  0.098  0.098
Cr  0.902  0.902  0.902
Cr  0.098  0.098  0.705
Cr  0.098  0.705  0.098
Cr  0.902  0.902  0.295
Cr  0.902  0.295  0.902
Cr  0.705  0.098  0.098
Cr  0.295  0.902  0.902
Cr  0.390  0.110  0.110
Cr  0.610  0.890  0.890
Cr  0.110  0.390  0.390
Cr  0.110  0.390  0.110
Cr  0.610  0.890  0.610
Cr  0.890  0.610  0.610
Cr  0.890  0.610  0.890
Cr  0.390  0.110  0.390
Cr  0.110  0.110  0.390
Cr  0.890  0.890  0.610
Cr  0.390  0.390  0.110
Cr  0.610  0.610  0.890
N  0.346  0.000  0.000
N  0.654  0.000  0.000
N  0.000  0.346  0.654
N  0.000  0.654  0.346
N  0.000  0.346  0.000
N  0.654  0.000  0.346
N  0.000  0.654  0.000
N  0.346  0.000  0.654
N  0.000  0.000  0.346
N  0.000  0.000  0.654
N  0.654  0.346  0.000
N  0.346  0.654  0.000
N  0.362  0.362  0.362
N  0.638  0.638  0.638
N  0.362  0.362  0.914
N  0.362  0.914  0.362
N  0.638  0.638  0.086
N  0.638  0.086  0.638
N  0.914  0.362  0.362
N  0.086  0.638  0.638
N  0.500  0.500  0.500
N  0.000  0.000  0.000

Computed properties:
- DFT formation energy: -0.960 eV/atom

=====

Entry 4:
DFT (PBE-GGA) results for a geometry-optimized Ce4CrS7 structure.

a b c (Å): 6.846 9.698 9.800
angles (deg): 118.78 90.00 90.00
Element x y z (fractional)
Ce  0.276  0.231  0.380
Ce  0.241  0.623  0.837
Ce  0.289  0.158  0.789
Ce  0.776  0.769  0.620
Ce  0.741  0.377  0.163
Ce  0.789  0.842  0.211
Ce  0.803  0.258  0.629
Ce  0.303  0.742  0.371
Cr  0.466  0.011  0.024
Cr  0.966  0.989  0.976
S  0.674  0.149  0.273
S  0.693  0.782  0.909
S  0.687  0.103  0.876
S  0.174  0.851  0.727
S  0.193  0.218  0.091
S  0.187  0.897  0.124
S  0.083  0.037  0.496
S  0.999  0.467  0.561
S  0.010  0.419  0.903
S  0.583  0.963  0.504
S  0.499  0.533  0.439
S  0.510  0.581  0.097
S  0.434  0.350  0.677
S  0.934  0.650  0.323

Computed properties:
- DFT formation energy: -1.944 eV/atom

=====

Entry 5:
DFT (PBE-GGA) results for a geometry-optimized CeCrSb3 structure.

a b c (Å): 6.144 6.280 12.936
angles (deg): 90.00 90.00 90.00
Element x y z (fractional)
Ce  0.250  0.503  0.308
Ce  0.750  0.497  0.692
Ce  0.250  0.003  0.692
Ce  0.750  0.997  0.308
Cr  0.000  0.750  0.906
Cr  0.000  0.250  0.094
Cr  0.500  0.250  0.094
Cr  0.500  0.750  0.906
Sb  0.000  0.750  0.501
Sb  0.000  0.250  0.499
Sb  0.500  0.250  0.499
Sb  0.500  0.750  0.501
Sb  0.250  0.599  0.063
Sb  0.750  0.401  0.937
Sb  0.250  0.099  0.937
Sb  0.750  0.901  0.063
Sb  0.250  0.002  0.226
Sb  0.750  0.998  0.774
Sb  0.250  0.502  0.774
Sb  0.750  0.498  0.226

Computed properties:
- DFT formation energy: -0.556 eV/atom

=====

Entry 6:
DFT (PBE-GGA) results for a geometry-optimized Cs2CeCuI6 structure.

a b c (Å): 8.535 8.535 8.535
angles (deg): 60.00 60.00 60.00
Element x y z (fractional)
Cs  0.250  0.250  0.250
Cs  0.750  0.750  0.750
Ce  0.500  0.500  0.500
Cu  0.000  0.000  0.000
I  0.240  0.240  0.760
I  0.240  0.760  0.760
I  0.760  0.760  0.240
I  0.240  0.760  0.240
I  0.760  0.240  0.760
I  0.760  0.240  0.240

Computed properties:
- DFT formation energy: -1.395 eV/atom

=====

Entry 7:
DFT (PBE-GGA) results for a geometry-optimized Cs2Ce2MgCu2S6 structure.

a b c (Å): 4.037 8.695 10.747
angles (deg): 90.00 90.00 103.91
Element x y z (fractional)
Cs  0.292  0.596  0.750
Cs  0.743  0.488  0.250
Ce  0.996  0.989  0.487
Ce  0.996  0.989  0.013
Mg  0.110  0.211  0.750
Cu  0.466  0.933  0.250
Cu  0.511  0.019  0.750
S  0.945  0.893  0.750
S  0.385  0.778  0.070
S  0.054  0.105  0.250
S  0.616  0.224  0.910
S  0.385  0.778  0.430
S  0.616  0.224  0.590

Computed properties:
- DFT formation energy: -1.481 eV/atom

=====

Entry 8:
DFT (PBE-GGA) results for a geometry-optimized CsCeCuS3 structure.

a b c (Å): 7.916 7.916 10.472
angles (deg): 90.00 90.00 150.21
Element x y z (fractional)
Cs  0.740  0.260  0.750
Cs  0.260  0.740  0.250
Ce  0.000  0.000  0.500
Ce  0.000  0.000  0.000
Cu  0.534  0.466  0.250
Cu  0.466  0.534  0.750
S  0.051  0.949  0.750
S  0.613  0.387  0.062
S  0.949  0.051  0.250
S  0.387  0.613  0.938
S  0.613  0.387  0.438
S  0.387  0.613  0.562

Computed properties:
- DFT formation energy: -1.661 eV/atom

=====

Entry 9:
DFT (PBE-GGA) results for a geometry-optimized Cs3CeF6 structure.

a b c (Å): 7.282 7.282 7.282
angles (deg): 60.00 60.00 60.00
Element x y z (fractional)
Cs  0.500  0.500  0.500
Cs  0.250  0.250  0.250
Cs  0.750  0.750  0.750
Ce  0.000  0.000  0.000
F  0.776  0.224  0.224
F  0.776  0.224  0.776
F  0.776  0.776  0.224
F  0.224  0.776  0.776
F  0.224  0.776  0.224
F  0.224  0.224  0.776

Computed properties:
- DFT formation energy: -3.465 eV/atom

=====

Entry 10:
DFT (PBE-GGA) results for a geometry-optimized Cs2KCeF6 structure.

a b c (Å): 6.630 6.630 6.630
angles (deg): 60.00 60.00 60.00
Element x y z (fractional)
Cs  0.250  0.250  0.250
Cs  0.750  0.750  0.750
K  0.500  0.500  0.500
Ce  0.000  0.000  0.000
F  0.240  0.240  0.760
F  0.240  0.760  0.760
F  0.760  0.760  0.240
F  0.240  0.760  0.240
F  0.760  0.240  0.760
F  0.760  0.240  0.240

Computed properties:
- DFT formation energy: -3.475 eV/atom

=====

Entry 11:
DFT (PBE-GGA) results for a geometry-optimized Cs2LiCeF6 structure.

a b c (Å): 6.439 6.439 6.439
angles (deg): 60.00 60.00 60.00
Element x y z (fractional)
Cs  0.750  0.750  0.750
Cs  0.250  0.250  0.250
Li  0.500  0.500  0.500
Ce  0.000  0.000  0.000
F  0.746  0.254  0.254
F  0.254  0.254  0.746
F  0.254  0.746  0.746
F  0.254  0.746  0.254
F  0.746  0.254  0.746
F  0.746  0.746  0.254

Computed properties:
- DFT formation energy: -3.512 eV/atom

=====

Entry 12:
DFT (PBE-GGA) results for a geometry-optimized Cs2NaCeF6 structure.

a b c (Å): 6.634 6.634 6.634
angles (deg): 60.00 60.00 60.00
Element x y z (fractional)
Cs  0.750  0.750  0.750
Cs  0.250  0.250  0.250
Na  0.500  0.500  0.500
Ce  0.000  0.000  0.000
F  0.754  0.246  0.246
F  0.246  0.246  0.754
F  0.246  0.754  0.754
F  0.246  0.754  0.246
F  0.754  0.246  0.754
F  0.754  0.754  0.246

Computed properties:
- DFT formation energy: -3.518 eV/atom

=====

Entry 13:
DFT (PBE-GGA) results for a geometry-optimized Cs2NaCeI6 structure.

a b c (Å): 8.895 8.895 8.895
angles (deg): 60.00 60.00 60.00
Element x y z (fractional)
Cs  0.750  0.750  0.750
Cs  0.250  0.250  0.250
Na  0.500  0.500  0.500
Ce  0.000  0.000  0.000
I  0.751  0.249  0.249
I  0.249  0.249  0.751
I  0.249  0.751  0.751
I  0.249  0.751  0.249
I  0.751  0.249  0.751
I  0.751  0.751  0.249

Computed properties:
- DFT formation energy: -1.676 eV/atom

=====

Entry 14:
DFT (PBE-GGA) results for a geometry-optimized Cs2Ce10Os2I17 structure.

a b c (Å): 9.930 11.651 11.651
angles (deg): 107.57 93.61 93.61
Element x y z (fractional)
Cs  0.000  0.826  0.174
Cs  0.000  0.174  0.826
Ce  0.557  0.831  0.831
Ce  0.820  0.293  0.293
Ce  0.428  0.791  0.494
Ce  0.572  0.506  0.209
Ce  0.180  0.707  0.707
Ce  0.680  0.563  0.563
Ce  0.320  0.437  0.437
Ce  0.428  0.494  0.791
Ce  0.572  0.209  0.506
Ce  0.443  0.169  0.169
Os  0.571  0.359  0.359
Os  0.429  0.641  0.641
I  0.420  0.970  0.310
I  0.862  0.114  0.451
I  0.420  0.310  0.970
I  0.726  0.747  0.400
I  0.131  0.211  0.211
I  0.580  0.690  0.030
I  0.274  0.600  0.253
I  0.862  0.451  0.114
I  0.274  0.253  0.600
I  0.580  0.030  0.690
I  0.726  0.400  0.747
I  0.719  0.062  0.062
I  0.138  0.549  0.886
I  0.000  0.500  0.500
I  0.869  0.789  0.789
I  0.138  0.886  0.549
I  0.281  0.938  0.938

Computed properties:
- DFT formation energy: -1.380 eV/atom

=====

Entry 15:
DFT (PBE-GGA) results for a geometry-optimized CsCeMg14 structure.

a b c (Å): 6.615 6.615 10.402
angles (deg): 90.00 90.00 120.00
Element x y z (fractional)
Cs  0.167  0.333  0.625
Ce  0.167  0.333  0.125
Mg  0.171  0.835  0.125
Mg  0.172  0.836  0.625
Mg  0.665  0.329  0.125
Mg  0.664  0.328  0.625
Mg  0.665  0.835  0.125
Mg  0.664  0.836  0.625
Mg  0.343  0.157  0.366
Mg  0.343  0.157  0.884
Mg  0.343  0.686  0.366
Mg  0.343  0.686  0.884
Mg  0.814  0.157  0.366
Mg  0.814  0.157  0.884
Mg  0.833  0.667  0.372
Mg  0.833  0.667  0.878

Computed properties:
- DFT formation energy: 0.197 eV/atom
- Distance to the lowest polymorph of the same formula: 7 meV per atom

=====

Entry 16:
DFT (PBE-GGA) results for a geometry-optimized CsCeMg14 structure.

a b c (Å): 6.808 6.808 10.863
angles (deg): 90.00 90.00 124.84
Element x y z (fractional)
Cs  0.329  0.671  0.500
Ce  0.837  0.163  0.500
Mg  0.828  0.172  0.000
Mg  0.331  0.669  0.000
Mg  0.334  0.167  0.500
Mg  0.336  0.169  0.000
Mg  0.833  0.666  0.500
Mg  0.831  0.664  0.000
Mg  0.166  0.322  0.230
Mg  0.166  0.322  0.770
Mg  0.678  0.834  0.230
Mg  0.678  0.834  0.770
Mg  0.668  0.332  0.252
Mg  0.668  0.332  0.748
Mg  0.159  0.841  0.235
Mg  0.159  0.841  0.765

Computed properties:
- DFT formation energy: 0.190 eV/atom
- Distance to the lowest polymorph of the same formula: 0 meV per atom

=====

Entry 17:
DFT (PBE-GGA) results for a geometry-optimized CsCeMg6O8 structure.

a b c (Å): 9.193 4.830 4.830
angles (deg): 90.00 90.00 90.00
Element x y z (fractional)
Cs  0.000  0.500  0.500
Ce  0.000  0.000  0.000
Mg  0.500  0.000  0.000
Mg  0.500  0.500  0.500
Mg  0.281  0.000  0.500
Mg  0.719  0.000  0.500
Mg  0.281  0.500  0.000
Mg  0.719  0.500  0.000
O  0.268  0.000  0.000
O  0.732  0.000  0.000
O  0.292  0.500  0.500
O  0.708  0.500  0.500
O  0.000  0.000  0.500
O  0.500  0.000  0.500
O  0.000  0.500  0.000
O  0.500  0.500  0.000

Computed properties:
- DFT formation energy: -2.418 eV/atom